Density functional theory data (PBE) for an optimized crystal structure of K4CuP6H8O22.

Cell and atoms, written as CIF:
```
data_K4CuP6H8O22
_chemical_formula_sum 'K8 Cu2 P12 H16 O44'
_space_group_name_H-M_alt 'P 1 21/c 1'
_space_group_IT_number 14
_space_group_name_Hall '-P 2ybc'
_cell_length_a 8.575
_cell_length_b 14.501
_cell_length_c 8.618
_cell_angle_alpha 90.00
_cell_angle_beta 96.65
_cell_angle_gamma 90.00
loop_
_atom_site_label
_atom_site_fract_x
_atom_site_fract_y
_atom_site_fract_z
K1 0.054 0.097 0.325
K2 0.333 0.718 0.503
Cu1 0.500 0.000 0.500
P1 0.002 0.665 0.757
P2 0.234 0.050 0.933
P3 0.328 0.174 0.691
H1 0.260 0.577 0.863
H2 0.334 0.517 0.733
H3 0.349 0.571 0.216
H4 0.499 0.636 0.200
O1 0.063 0.601 0.888
O2 0.067 0.104 0.894
O3 0.111 0.736 0.706
O4 0.155 0.220 0.704
O5 0.229 0.543 0.353
O6 0.271 0.054 0.107
O7 0.310 0.109 0.555
O8 0.355 0.118 0.857
O9 0.362 0.560 0.826
O10 0.418 0.597 0.140
O11 0.448 0.249 0.703
```

Values from the calculation:
Uncorrected energy, eV per atom: -6.1275


Density functional theory data (PBE) for an optimized crystal structure of K2CuP4H8O15.

Cell and atoms, written as CIF:
```
data_K2CuP4H8O15
_chemical_formula_sum 'K4 Cu2 P8 H16 O30'
_space_group_name_H-M_alt 'C 1 2/m 1'
_space_group_IT_number 12
_space_group_name_Hall '-C 2y'
_cell_length_a 9.825
_cell_length_b 12.403
_cell_length_c 7.002
_cell_angle_alpha 90.00
_cell_angle_beta 103.91
_cell_angle_gamma 90.00
loop_
_atom_site_label
_atom_site_fract_x
_atom_site_fract_y
_atom_site_fract_z
K1 0.211 0.000 0.092
Cu1 0.000 0.000 0.500
P1 0.008 0.234 0.663
H1 0.193 0.436 0.398
H2 0.240 0.254 0.755
O1 0.000 0.500 0.000
O2 0.016 0.113 0.714
O3 0.111 0.297 0.284
O4 0.152 0.291 0.771
O5 0.241 0.500 0.466
```

Values from the calculation:
Uncorrected energy, eV per atom: -5.7165


Density functional theory data (PBE) for an optimized crystal structure of KRbCuH12Se2O14.

Cell and atoms, written as CIF:
```
data_KRbCuH12Se2O14
_chemical_formula_sum 'K2 Rb2 Cu2 H24 Se4 O28'
_space_group_name_H-M_alt 'P 1 21 1'
_space_group_IT_number 4
_space_group_name_Hall 'P 2yb'
_cell_length_a 6.459
_cell_length_b 12.523
_cell_length_c 9.271
_cell_angle_alpha 90.00
_cell_angle_beta 103.44
_cell_angle_gamma 90.00
loop_
_atom_site_label
_atom_site_fract_x
_atom_site_fract_y
_atom_site_fract_z
K1 0.152 0.000 0.113
Rb1 0.150 0.186 0.612
Cu1 0.500 0.345 0.249
H1 0.175 0.251 0.042
H2 0.176 0.937 0.540
H3 0.184 0.479 0.222
H4 0.185 0.711 0.724
H5 0.186 0.793 0.855
H6 0.187 0.398 0.355
H7 0.387 0.212 0.997
H8 0.388 0.976 0.495
H9 0.432 0.440 0.986
H10 0.432 0.749 0.487
H11 0.490 0.028 0.888
H12 0.490 0.161 0.386
Se1 0.238 0.704 0.162
Se2 0.239 0.486 0.666
O1 0.081 0.597 0.163
O2 0.083 0.592 0.672
O3 0.119 0.409 0.522
O4 0.119 0.784 0.022
O5 0.218 0.403 0.254
O6 0.218 0.787 0.755
O7 0.263 0.415 0.821
O8 0.265 0.773 0.319
O9 0.317 0.219 0.081
O10 0.320 0.967 0.580
O11 0.463 0.954 0.917
O12 0.466 0.236 0.415
O13 0.477 0.663 0.140
O14 0.480 0.527 0.645
```

Values from the calculation:
Uncorrected energy, eV per atom: -5.0169


Density functional theory data (PBE) for an optimized crystal structure of KCu2H3S2O10.

Cell and atoms, written as CIF:
```
data_KCu2H3S2O10
_chemical_formula_sum 'K2 Cu4 H6 S4 O20'
_space_group_name_H-M_alt 'C 1 m 1'
_space_group_IT_number 8
_space_group_name_Hall 'C -2y'
_cell_length_a 9.103
_cell_length_b 6.398
_cell_length_c 7.820
_cell_angle_alpha 90.00
_cell_angle_beta 118.44
_cell_angle_gamma 90.00
loop_
_atom_site_label
_atom_site_fract_x
_atom_site_fract_y
_atom_site_fract_z
K1 0.000 0.000 0.000
Cu1 0.249 0.246 0.502
H1 0.203 0.000 0.715
H2 0.297 0.500 0.282
H3 0.479 0.500 0.488
S1 0.079 0.500 0.785
S2 0.421 0.000 0.215
O1 0.030 0.307 0.274
O2 0.156 0.000 0.572
O3 0.183 0.500 0.997
O4 0.184 0.500 0.687
O5 0.316 0.000 0.313
O6 0.317 0.000 0.004
O7 0.344 0.500 0.425
O8 0.470 0.193 0.727
```

Values from the calculation:
Uncorrected energy, eV per atom: -5.5009